Computed, not measured: a geometry-optimized ZnTe structure at the PBE-GGA level of DFT.

Geometry as CIF:
```
data_ZnTe
_cell_length_a 4.080
_cell_length_b 4.080
_cell_length_c 4.080
_cell_angle_alpha 60.00
_cell_angle_beta 60.00
_cell_angle_gamma 60.00
_symmetry_space_group_name_H-M 'P 1'
_symmetry_Int_Tables_number 1
_symmetry_space_group_name_Hall 'P 1'
loop_
_atom_site_label
_atom_site_fract_x
_atom_site_fract_y
_atom_site_fract_z
Zn1 0.000 0.000 0.000
Te1 0.500 0.500 0.500
```

Summary:
The energy of formation is -0.3956 eV per atom. Its total magnetization is 0.00 Bohr magnetons per cell. As for the space group: Fm-3m. Its uncorrected energy is -2.386 eV/atom.

Computed, not measured: a geometry-optimized BeB12C2 structure at the PBE-GGA level of DFT.

Geometry as CIF:
```
data_BeB12C2
_cell_length_a 5.242
_cell_length_b 5.242
_cell_length_c 5.242
_cell_angle_alpha 64.60
_cell_angle_beta 64.60
_cell_angle_gamma 64.60
_symmetry_space_group_name_H-M 'P 1'
_symmetry_Int_Tables_number 1
_symmetry_space_group_name_Hall 'P 1'
loop_
_atom_site_label
_atom_site_fract_x
_atom_site_fract_y
_atom_site_fract_z
Be1 0.500 0.500 0.500
B1 0.679 0.197 0.197
B2 0.197 0.197 0.679
B3 0.197 0.679 0.197
B4 0.321 0.803 0.803
B5 0.803 0.803 0.321
B6 0.803 0.321 0.803
B7 0.333 0.003 0.003
B8 0.003 0.003 0.333
B9 0.003 0.333 0.003
B10 0.667 0.997 0.997
B11 0.997 0.997 0.667
B12 0.997 0.667 0.997
C1 0.635 0.635 0.635
C2 0.365 0.365 0.365
```

Summary:
The energy of formation is -0.0357 eV per atom. Its total magnetization is 0.00 Bohr magnetons per cell. As for the space group: R-3m. Its uncorrected energy is -6.859 eV/atom.

Computed, not measured: a geometry-optimized Na6Mg5TaP3S6O36 structure at the PBE-GGA level of DFT.

Geometry as CIF:
```
data_Na6Mg5TaP3S6O36
_cell_length_a 8.810
_cell_length_b 8.821
_cell_length_c 22.447
_cell_angle_alpha 89.95
_cell_angle_beta 90.00
_cell_angle_gamma 119.96
_symmetry_space_group_name_H-M 'P 1'
_symmetry_Int_Tables_number 1
_symmetry_space_group_name_Hall 'P 1'
loop_
_atom_site_label
_atom_site_fract_x
_atom_site_fract_y
_atom_site_fract_z
Na1 0.303 0.335 0.581
Na2 0.670 0.972 0.589
Na3 0.302 0.972 0.089
Na4 0.032 0.335 0.081
Na5 0.965 0.664 0.912
Na6 0.699 0.664 0.412
Na7 0.018 0.008 0.496
Na8 0.991 0.008 0.996
Na9 0.673 0.324 0.828
Na10 0.651 0.324 0.328
Na11 0.351 0.674 0.166
Na12 0.324 0.674 0.666
Mg1 0.013 0.006 0.349
Mg2 0.994 0.006 0.849
Mg3 0.993 0.987 0.655
Mg4 0.994 0.987 0.155
Mg5 0.676 0.336 0.689
Mg6 0.660 0.336 0.189
Mg7 0.668 0.330 0.980
Mg8 0.662 0.330 0.480
Mg9 0.337 0.661 0.016
Mg10 0.324 0.661 0.516
Ta1 0.336 0.665 0.311
Ta2 0.328 0.665 0.811
P1 0.296 0.005 0.249
P2 0.716 0.707 0.253
P3 0.991 0.707 0.753
P4 0.709 0.005 0.749
P5 0.040 0.368 0.920
P6 0.328 0.368 0.420
S1 0.996 0.290 0.250
S2 0.294 0.290 0.750
S3 0.959 0.335 0.583
S4 0.373 0.041 0.583
S5 0.670 0.628 0.582
S6 0.958 0.628 0.082
S7 0.668 0.041 0.083
S8 0.376 0.335 0.083
S9 0.625 0.667 0.918
S10 0.334 0.960 0.918
S11 0.626 0.960 0.418
S12 0.042 0.667 0.418
O1 0.207 0.027 0.303
O2 0.811 0.789 0.311
O3 0.975 0.186 0.303
O4 0.211 0.186 0.803
O5 0.978 0.789 0.811
O6 0.819 0.027 0.803
O7 0.772 0.964 0.691
O8 0.190 0.224 0.695
O9 0.038 0.821 0.697
O10 0.783 0.821 0.197
O11 0.035 0.224 0.195
O12 0.192 0.964 0.191
O13 0.877 0.357 0.637
O14 0.484 0.122 0.636
O15 0.639 0.514 0.634
O16 0.874 0.514 0.134
O17 0.638 0.122 0.136
O18 0.480 0.357 0.137
O19 0.456 0.306 0.029
O20 0.858 0.549 0.027
O21 0.696 0.150 0.029
O22 0.454 0.150 0.529
O23 0.691 0.549 0.527
O24 0.850 0.306 0.529
O25 0.545 0.694 0.970
O26 0.145 0.454 0.976
O27 0.307 0.852 0.972
O28 0.545 0.852 0.472
O29 0.310 0.454 0.476
O30 0.149 0.694 0.470
O31 0.131 0.646 0.363
O32 0.510 0.868 0.364
O33 0.352 0.498 0.365
O34 0.146 0.498 0.865
O35 0.358 0.868 0.864
O36 0.515 0.646 0.863
O37 0.017 0.820 0.411
O38 0.797 0.971 0.410
O39 0.166 0.190 0.410
O40 0.024 0.190 0.910
O41 0.174 0.971 0.910
O42 0.803 0.820 0.911
O43 0.981 0.176 0.588
O44 0.198 0.026 0.589
O45 0.824 0.806 0.588
O46 0.982 0.806 0.088
O47 0.828 0.026 0.089
O48 0.195 0.176 0.088
O49 0.671 0.155 0.744
O50 0.471 0.320 0.743
O51 0.838 0.522 0.746
O52 0.685 0.522 0.246
O53 0.848 0.320 0.243
O54 0.484 0.155 0.244
O55 0.640 0.507 0.921
O56 0.863 0.367 0.919
O57 0.492 0.133 0.921
O58 0.641 0.133 0.421
O59 0.503 0.367 0.419
O60 0.867 0.507 0.421
O61 0.351 0.491 0.078
O62 0.139 0.648 0.078
O63 0.507 0.865 0.076
O64 0.358 0.865 0.576
O65 0.509 0.648 0.578
O66 0.139 0.491 0.578
O67 0.311 0.830 0.261
O68 0.519 0.685 0.261
O69 0.162 0.474 0.258
O70 0.312 0.474 0.758
O71 0.166 0.685 0.761
O72 0.519 0.830 0.761
```

Summary:
The energy of formation is -2.5038 eV per atom. Its total magnetization is 0.00 Bohr magnetons per cell. As for the space group: Cc. Its uncorrected energy is -6.403 eV/atom.

Computed, not measured: a geometry-optimized MgZn2 structure at the PBE-GGA level of DFT.

Geometry as CIF:
```
data_MgZn2
_cell_length_a 4.741
_cell_length_b 4.741
_cell_length_c 5.288
_cell_angle_alpha 90.00
_cell_angle_beta 90.00
_cell_angle_gamma 116.69
_symmetry_space_group_name_H-M 'P 1'
_symmetry_Int_Tables_number 1
_symmetry_space_group_name_Hall 'P 1'
loop_
_atom_site_label
_atom_site_fract_x
_atom_site_fract_y
_atom_site_fract_z
Mg1 0.621 0.379 0.750
Mg2 0.379 0.621 0.250
Zn1 0.717 0.283 0.250
Zn2 0.000 0.000 0.500
Zn3 0.283 0.717 0.750
Zn4 0.000 0.000 0.000
```

Summary:
The energy of formation is 0.0049 eV per atom. Its total magnetization is 0.00 Bohr magnetons per cell. As for the space group: Cmcm. Its uncorrected energy is -1.368 eV/atom.

Computed, not measured: a geometry-optimized Ca4Al6SO16 structure at the PBE-GGA level of DFT.

Geometry as CIF:
```
data_Ca4Al6SO16
_cell_length_a 9.284
_cell_length_b 13.116
_cell_length_c 13.136
_cell_angle_alpha 90.00
_cell_angle_beta 90.00
_cell_angle_gamma 90.00
_symmetry_space_group_name_H-M 'P 1'
_symmetry_Int_Tables_number 1
_symmetry_space_group_name_Hall 'P 1'
loop_
_atom_site_label
_atom_site_fract_x
_atom_site_fract_y
_atom_site_fract_z
Ca1 0.201 0.537 0.744
Ca2 0.163 0.060 0.250
Ca3 0.233 0.743 0.490
Ca4 0.701 0.537 0.256
Ca5 0.163 0.940 0.750
Ca6 0.663 0.060 0.750
Ca7 0.733 0.257 0.490
Ca8 0.302 0.747 0.061
Ca9 0.302 0.253 0.939
Ca10 0.701 0.463 0.744
Ca11 0.802 0.747 0.939
Ca12 0.802 0.253 0.061
Ca13 0.663 0.940 0.250
Ca14 0.233 0.257 0.510
Ca15 0.201 0.463 0.256
Ca16 0.733 0.743 0.510
Al1 0.701 0.000 0.500
Al2 0.456 0.879 0.628
Al3 0.201 0.000 0.500
Al4 0.994 0.627 0.122
Al5 0.479 0.124 0.121
Al6 0.979 0.876 0.121
Al7 0.456 0.121 0.372
Al8 0.229 0.000 0.000
Al9 0.728 0.500 0.500
Al10 0.479 0.876 0.879
Al11 0.979 0.124 0.879
Al12 0.478 0.370 0.371
Al13 0.956 0.879 0.372
Al14 0.956 0.121 0.628
Al15 0.994 0.373 0.878
Al16 0.729 0.000 0.000
Al17 0.978 0.370 0.629
Al18 0.478 0.630 0.629
Al19 0.228 0.500 0.500
Al20 0.494 0.373 0.122
Al21 0.744 0.500 0.000
Al22 0.244 0.500 0.000
Al23 0.978 0.630 0.371
Al24 0.494 0.627 0.878
S1 0.468 0.265 0.734
S2 0.968 0.735 0.734
S3 0.968 0.265 0.266
S4 0.468 0.735 0.266
O1 0.842 0.393 0.956
O2 0.625 0.963 0.892
O3 0.012 0.244 0.592
O4 0.054 0.247 0.903
O5 0.512 0.244 0.408
O6 0.831 0.891 0.036
O7 0.135 0.437 0.598
O8 0.436 0.598 0.754
O9 0.436 0.402 0.246
O10 0.125 0.037 0.892
O11 0.370 0.763 0.350
O12 0.797 0.898 0.445
O13 0.135 0.563 0.402
O14 0.402 0.896 0.756
O15 0.331 0.109 0.036
O16 0.297 0.102 0.445
O17 0.599 0.037 0.392
O18 0.554 0.753 0.903
O19 0.797 0.102 0.555
O20 0.554 0.247 0.097
O21 0.902 0.104 0.756
O22 0.320 0.404 0.435
O23 0.099 0.963 0.392
O24 0.320 0.596 0.565
O25 0.474 0.823 0.192
O26 0.402 0.104 0.244
O27 0.342 0.393 0.044
O28 0.820 0.596 0.435
O29 0.146 0.547 0.105
O30 0.012 0.756 0.408
O31 0.117 0.715 0.695
O32 0.099 0.037 0.608
O33 0.415 0.355 0.791
O34 0.974 0.177 0.192
O35 0.617 0.285 0.695
O36 0.146 0.453 0.895
O37 0.635 0.437 0.402
O38 0.125 0.963 0.108
O39 0.915 0.355 0.209
O40 0.415 0.645 0.209
O41 0.870 0.237 0.350
O42 0.331 0.891 0.964
O43 0.902 0.896 0.244
O44 0.297 0.898 0.555
O45 0.936 0.402 0.754
O46 0.117 0.285 0.305
O47 0.054 0.753 0.097
O48 0.936 0.598 0.246
O49 0.915 0.645 0.791
O50 0.625 0.037 0.108
O51 0.646 0.453 0.105
O52 0.512 0.756 0.592
O53 0.646 0.547 0.895
O54 0.974 0.823 0.808
O55 0.474 0.177 0.808
O56 0.342 0.607 0.956
O57 0.842 0.607 0.044
O58 0.617 0.715 0.305
O59 0.635 0.563 0.598
O60 0.870 0.763 0.650
O61 0.831 0.109 0.964
O62 0.820 0.404 0.565
O63 0.599 0.963 0.608
O64 0.370 0.237 0.650
```

Summary:
The energy of formation is -3.2909 eV per atom. Its total magnetization is 0.00 Bohr magnetons per cell. As for the space group: Pcc2. Its uncorrected energy is -7.099 eV/atom.

Computed, not measured: a geometry-optimized BaSrLaNbO6 structure at the PBE-GGA level of DFT.

Geometry as CIF:
```
data_BaSrLaNbO6
_cell_length_a 6.177
_cell_length_b 6.177
_cell_length_c 6.177
_cell_angle_alpha 60.00
_cell_angle_beta 60.00
_cell_angle_gamma 60.00
_symmetry_space_group_name_H-M 'P 1'
_symmetry_Int_Tables_number 1
_symmetry_space_group_name_Hall 'P 1'
loop_
_atom_site_label
_atom_site_fract_x
_atom_site_fract_y
_atom_site_fract_z
Ba1 0.750 0.750 0.750
Sr1 0.250 0.250 0.250
La1 0.000 0.000 0.000
Nb1 0.500 0.500 0.500
O1 0.731 0.269 0.269
O2 0.269 0.731 0.731
O3 0.731 0.269 0.731
O4 0.269 0.731 0.269
O5 0.731 0.731 0.269
O6 0.269 0.269 0.731
```

Summary:
The energy of formation is -3.3181 eV per atom. Its total magnetization is 0.00 Bohr magnetons per cell. As for the space group: F-43m. Its uncorrected energy is -7.739 eV/atom.

Computed, not measured: a geometry-optimized CdIn4I6 structure at the PBE-GGA level of DFT.

Geometry as CIF:
```
data_CdIn4I6
_cell_length_a 9.158
_cell_length_b 9.158
_cell_length_c 10.004
_cell_angle_alpha 90.00
_cell_angle_beta 90.00
_cell_angle_gamma 90.00
_symmetry_space_group_name_H-M 'P 1'
_symmetry_Int_Tables_number 1
_symmetry_space_group_name_Hall 'P 1'
loop_
_atom_site_label
_atom_site_fract_x
_atom_site_fract_y
_atom_site_fract_z
Cd1 0.000 0.000 0.000
Cd2 0.500 0.500 0.500
In1 0.857 0.643 0.750
In2 0.857 0.643 0.250
In3 0.643 0.143 0.750
In4 0.643 0.143 0.250
In5 0.143 0.357 0.250
In6 0.143 0.357 0.750
In7 0.357 0.857 0.250
In8 0.357 0.857 0.750
I1 0.851 0.306 0.000
I2 0.149 0.694 0.000
I3 0.694 0.851 0.000
I4 0.000 0.000 0.288
I5 0.194 0.649 0.500
I6 0.649 0.806 0.500
I7 0.000 0.000 0.712
I8 0.500 0.500 0.212
I9 0.806 0.351 0.500
I10 0.351 0.194 0.500
I11 0.500 0.500 0.788
I12 0.306 0.149 0.000
```

Summary:
The energy of formation is -0.6979 eV per atom. Its total magnetization is 0.00 Bohr magnetons per cell. As for the space group: P4/mnc. Its uncorrected energy is -2.407 eV/atom.

Computed, not measured: a geometry-optimized BaCaCeZrO6 structure at the PBE-GGA level of DFT.

Geometry as CIF:
```
data_BaCaCeZrO6
_cell_length_a 8.516
_cell_length_b 8.555
_cell_length_c 8.532
_cell_angle_alpha 90.00
_cell_angle_beta 90.00
_cell_angle_gamma 90.00
_symmetry_space_group_name_H-M 'P 1'
_symmetry_Int_Tables_number 1
_symmetry_space_group_name_Hall 'P 1'
loop_
_atom_site_label
_atom_site_fract_x
_atom_site_fract_y
_atom_site_fract_z
Ba1 0.000 0.000 0.000
Ba2 0.500 0.500 0.500
Ba3 0.000 0.500 0.000
Ba4 0.000 0.000 0.500
Ca1 0.000 0.500 0.500
Ca2 0.500 0.000 0.500
Ca3 0.500 0.500 0.000
Ca4 0.500 0.000 0.000
Ce1 0.744 0.749 0.749
Ce2 0.256 0.251 0.749
Ce3 0.256 0.749 0.251
Ce4 0.744 0.251 0.251
Zr1 0.256 0.251 0.250
Zr2 0.744 0.749 0.250
Zr3 0.744 0.251 0.750
Zr4 0.256 0.749 0.750
O1 0.008 0.215 0.274
O2 0.992 0.785 0.274
O3 0.992 0.215 0.726
O4 0.008 0.785 0.726
O5 0.300 0.007 0.204
O6 0.300 0.993 0.796
O7 0.700 0.993 0.204
O8 0.700 0.007 0.796
O9 0.223 0.283 0.006
O10 0.777 0.283 0.994
O11 0.223 0.717 0.994
O12 0.777 0.717 0.006
O13 0.494 0.313 0.208
O14 0.506 0.687 0.208
O15 0.506 0.313 0.792
O16 0.494 0.687 0.792
O17 0.209 0.492 0.307
O18 0.209 0.508 0.693
O19 0.791 0.508 0.307
O20 0.791 0.492 0.693
O21 0.304 0.201 0.491
O22 0.696 0.201 0.509
O23 0.304 0.799 0.509
O24 0.696 0.799 0.491
```

Summary:
The energy of formation is -3.5843 eV per atom. Its total magnetization is 0.00 Bohr magnetons per cell. As for the space group: P222. Its uncorrected energy is -7.981 eV/atom.

Computed, not measured: a geometry-optimized Ba5Mg18Si13 structure at the PBE-GGA level of DFT.

Geometry as CIF:
```
data_Ba5Mg18Si13
_cell_length_a 14.560
_cell_length_b 14.560
_cell_length_c 4.503
_cell_angle_alpha 90.00
_cell_angle_beta 90.00
_cell_angle_gamma 120.00
_symmetry_space_group_name_H-M 'P 1'
_symmetry_Int_Tables_number 1
_symmetry_space_group_name_Hall 'P 1'
loop_
_atom_site_label
_atom_site_fract_x
_atom_site_fract_y
_atom_site_fract_z
Ba1 0.000 0.820 0.500
Ba2 0.180 0.180 0.500
Ba3 0.820 0.000 0.500
Ba4 0.667 0.333 0.000
Ba5 0.333 0.667 0.000
Mg1 0.177 0.373 0.000
Mg2 0.805 0.627 0.000
Mg3 0.373 0.177 0.000
Mg4 0.823 0.195 0.000
Mg5 0.195 0.823 0.000
Mg6 0.278 0.000 0.500
Mg7 0.722 0.722 0.500
Mg8 0.000 0.278 0.500
Mg9 0.878 0.517 0.500
Mg10 0.639 0.122 0.500
Mg11 0.483 0.361 0.500
Mg12 0.361 0.483 0.500
Mg13 0.122 0.639 0.500
Mg14 0.517 0.878 0.500
Mg15 0.442 0.000 0.000
Mg16 0.558 0.558 0.000
Mg17 0.000 0.442 0.000
Mg18 0.627 0.805 0.000
Si1 0.309 0.834 0.500
Si2 0.475 0.166 0.500
Si3 0.691 0.525 0.500
Si4 0.525 0.691 0.500
Si5 0.166 0.475 0.500
Si6 0.000 0.000 0.000
Si7 0.166 0.000 0.000
Si8 0.834 0.834 0.000
Si9 0.000 0.166 0.000
Si10 0.630 0.000 0.000
Si11 0.370 0.370 0.000
Si12 0.000 0.630 0.000
Si13 0.834 0.309 0.500
```

Summary:
The energy of formation is -0.2577 eV per atom. As for the space group: P-62m. Its uncorrected energy is -3.309 eV/atom.

Computed, not measured: a geometry-optimized Au3F8 structure at the PBE-GGA level of DFT.

Geometry as CIF:
```
data_Au3F8
_cell_length_a 10.941
_cell_length_b 5.597
_cell_length_c 8.006
_cell_angle_alpha 47.82
_cell_angle_beta 90.00
_cell_angle_gamma 90.00
_symmetry_space_group_name_H-M 'P 1'
_symmetry_Int_Tables_number 1
_symmetry_space_group_name_Hall 'P 1'
loop_
_atom_site_label
_atom_site_fract_x
_atom_site_fract_y
_atom_site_fract_z
Au1 0.320 0.654 0.036
Au2 0.820 0.346 0.464
Au3 0.680 0.346 0.964
Au4 0.180 0.654 0.536
Au5 0.000 0.500 0.000
Au6 0.500 0.500 0.500
F1 0.476 0.853 0.889
F2 0.976 0.147 0.611
F3 0.524 0.147 0.111
F4 0.024 0.853 0.389
F5 0.902 0.633 0.160
F6 0.402 0.367 0.340
F7 0.343 0.457 0.686
F8 0.843 0.543 0.814
F9 0.657 0.543 0.314
F10 0.157 0.457 0.186
F11 0.266 0.912 0.249
F12 0.766 0.088 0.251
F13 0.734 0.088 0.751
F14 0.234 0.912 0.749
F15 0.598 0.633 0.660
F16 0.098 0.367 0.840
```

Summary:
The energy of formation is -1.2848 eV per atom. As for the space group: P2_1/c. Its uncorrected energy is -3.234 eV/atom.